The following is a PBE+U calculation of Sr2Y2W2O7 after structural relaxation, from Materials Project.

Unit cell a=12.6387 b=12.6387 c=12.6387 alpha=153.19 beta=152.37 gamma=38.88
Closest atoms and distances in Å follow each position.
Element x y z (fractional)
Sr1 0.8068 0.8565 0.9627  5 O 2.45-2.60
Sr2 0.1932 0.1560 0.0497  5 O 2.45-2.60
Sr3 0.6063 0.6560 0.9627  5 O 2.45-2.60
Sr4 0.3937 0.3565 0.0497  5 O 2.45-2.60
Y1 0.5000 0.4635 0.9635  4 O 2.28-2.29
Y2 0.0000 0.9635 0.9635  4 O 2.28-2.29
Y3 0.1841 0.7814 0.4655  4 O 2.14-2.20
Y4 0.8159 0.2814 0.5974  4 O 2.14-2.20
W1 0.9342 0.3988 0.4689  5 O 2.17-2.41
W2 0.0658 0.5348 0.4647  5 O 2.17-2.41
W3 0.5701 0.0348 0.4689  5 O 2.17-2.41
W4 0.4299 0.8988 0.4647  5 O 2.17-2.41
O1 0.8459 0.6549 0.0008  2 Y 2.17-2.20
O2 0.1541 0.1549 0.8090  2 Y 2.17-2.20
O3 0.7417 0.7114 0.5937  2 W 2.17-2.18, 1 Y 2.29
O4 0.2583 0.8520 0.9697  2 W 2.17-2.18, 1 Y 2.29
O5 0.3823 0.3520 0.5937  2 W 2.17-2.18, 1 Y 2.29
O6 0.6177 0.2114 0.9697  2 W 2.17-2.18, 1 Y 2.29
O7 0.1106 0.0742 0.3272  2 W 2.17-2.18, 1 Y 2.28
O8 0.8894 0.2166 0.9636  2 W 2.17-2.18, 1 Y 2.28
O9 0.7530 0.7166 0.3272  2 W 2.17-2.18, 1 Y 2.28
O10 0.2470 0.5742 0.9636  2 W 2.17-2.18, 1 Y 2.28
O11 0.3818 0.7720 0.4898  1 Y 2.14
O12 0.6182 0.1080 0.3901  1 Y 2.14
O13 0.2179 0.6080 0.4898  1 Y 2.14
O14 0.7821 0.2720 0.3901  1 Y 2.14

Energy relative to the elements = -2.58 eV per atom

The following is a PBE+U calculation of V3OF11 after structural relaxation, from Materials Project.

Unit cell a=5.2732 b=5.4560 c=14.7627 alpha=79.68 beta=89.95 gamma=89.92
Closest atoms and distances in Å follow each position.
Element x y z (fractional)
V1 0.0050 0.9981 0.0013  4 F 1.75-1.96
V2 0.5082 0.8447 0.3337  4 F 1.77-1.97
V3 0.0001 0.6668 0.6663  6 F 1.76-1.97
V4 0.5101 0.4999 0.9940  1 O 1.62
V5 0.0255 0.3747 0.3298  1 O 1.65, 2 F 1.77
V6 0.5002 0.1667 0.6664  6 F 1.76-1.97
O1 0.5809 0.5450 0.8857  1 V 1.62
O2 0.2047 0.6253 0.3105  1 V 1.65
F1 0.1983 0.9765 0.6419  2 V 1.97
F2 0.2982 0.8032 0.9755  2 V 1.95-1.97
F3 0.6985 0.8566 0.6912  2 V 1.97
F4 0.0813 0.9563 0.1187  1 V 1.75
F5 0.4126 0.7839 0.4506  1 V 1.77
F6 0.0855 0.6247 0.7841  1 V 1.77
F7 0.5775 0.8721 0.2152  1 V 1.77
F8 0.9134 0.7060 0.5493  1 V 1.76
F9 0.3018 0.4768 0.6421  2 V 1.96-1.97
F10 0.2076 0.3036 0.9757  2 V 1.96-1.97
F11 0.7924 0.6936 0.0264  2 V 1.94-1.98
F12 0.7136 0.5302 0.3573  2 V 1.93-2.00
F13 0.8015 0.3560 0.6916  2 V 1.97
F14 0.4080 0.4585 0.1155  1 V 1.85
F15 0.0724 0.2735 0.4495  1 V 1.77
F16 0.4132 0.1240 0.7841  1 V 1.77
F17 0.9071 0.3649 0.2181  1 V 1.77
F18 0.5850 0.2088 0.5492  1 V 1.76
F19 0.9117 0.0416 0.8845  1 V 1.77
F20 0.2898 0.1425 0.3088  2 V 1.94-1.97
F21 0.7033 0.1975 0.0261  2 V 1.92-2.00
F22 0.7924 0.0279 0.3570  1 V 1.87

Energy above the most stable polymorph in this dataset = 30.0 meV per atom
Energy relative to the elements = -2.87 eV per atom

The following is a PBE+U calculation of Er2MgTl2W4O16 after structural relaxation, from Materials Project.

Unit cell a=7.5899 b=7.8994 c=7.5084 alpha=62.21 beta=61.92 gamma=86.91
Closest atoms and distances in Å follow each position.
Element x y z (fractional)
Er1 0.2323 0.7927 0.7380  6 O 2.21-2.34
Er2 0.7651 0.2095 0.2495  6 O 2.22-2.35
Mg1 0.0096 0.5214 0.6092  4 O 1.98-2.07
Tl1 0.7563 0.1463 0.7802  6 O 2.76-2.98, 1 Mg 2.98
Tl2 0.2539 0.8683 0.1736  3 O 2.54-2.78
W1 0.3099 0.3133 0.6974  5 O 1.86-2.08
W2 0.7083 0.6799 0.3024  4 O 1.83-2.03
W3 0.6789 0.6959 0.8087  4 O 1.86-2.05
W4 0.3001 0.3115 0.2046  5 O 1.84-2.01
O1 0.3777 0.2497 0.9508  2 W 2.00-2.03
O2 0.6234 0.7466 0.0720  2 W 1.96-2.05
O3 0.7721 0.6076 0.5598  1 Mg 2.03, 2 W 2.03-2.10
O4 0.2231 0.3926 0.4450  2 W 2.01-2.11, 1 Mg 2.07
O5 0.6425 0.9369 0.6233  1 W 1.86
O6 0.3530 0.0771 0.3825  1 W 1.87
O7 0.0278 0.3344 0.8875  1 Mg 1.98, 1 W 1.99
O8 0.9654 0.6718 0.1063  1 W 1.83
O9 0.3976 0.6134 0.5556  2 W 2.08-2.11
O10 0.6161 0.3811 0.4451  2 W 2.08, 1 Er 2.32
O11 0.3589 0.5946 0.9690  2 W 2.00-2.13
O12 0.6200 0.4085 0.0447  2 W 2.03-2.13
O13 0.2519 0.0494 0.7919  1 W 1.86
O14 0.7426 0.9389 0.2263  1 W 1.85
O15 0.9758 0.7330 0.6969  1 W 1.98, 1 Mg 2.03, 1 Er 2.21
O16 0.0292 0.2422 0.3045  1 W 1.84

Energy above the most stable polymorph in this dataset = 0.0 meV per atom
Energy relative to the elements = -2.48 eV per atom

The following is a PBE+U calculation of LiVF4 after structural relaxation, from Materials Project.

Unit cell a=5.9719 b=8.9002 c=11.5642 alpha=90.39 beta=90.90 gamma=91.15
Closest atoms and distances in Å follow each position.
Element x y z (fractional)
Li1 0.6618 0.7139 0.7933  3 F 1.84-2.01
Li2 0.7326 0.9886 0.6303  3 F 1.85-1.98
Li3 0.2492 0.4363 0.6379  3 F 1.83-1.98
Li4 0.7561 0.9357 0.3745  4 F 1.85-2.04
Li5 0.2597 0.4867 0.3856  3 F 1.86-1.92
Li6 0.7900 0.9550 0.1122  4 F 1.85-2.03
Li7 0.2552 0.4349 0.1279  3 F 1.80-1.94
Li8 0.6152 0.2475 0.0502  4 F 1.88-1.95
V1 0.2199 0.1015 0.9353  4 F 1.87-2.08
V2 0.7018 0.3134 0.8052  5 F 1.89-2.06
V3 0.1987 0.8119 0.6878  5 F 1.86-2.03
V4 0.7387 0.6009 0.5521  5 F 1.87-2.06
V5 0.2714 0.0986 0.4432  5 F 1.87-2.10
V6 0.8034 0.3033 0.3091  6 F 1.95-2.02
V7 0.3037 0.8140 0.1896  6 F 1.90-2.06
V8 0.7671 0.6030 0.0645  5 F 1.86-2.06
F1 0.0441 0.5193 0.0374  1 Li 1.80, 1 V 1.86
F2 0.6578 0.4290 0.9583  1 Li 1.95, 2 V 2.06
F3 0.7345 0.7447 0.9467  1 Li 1.84, 1 V 1.87
F4 0.5546 0.1505 0.9034  1 Li 1.93, 2 V 2.04-2.08
F5 0.0127 0.2598 0.8542  2 V 2.00-2.11
F6 0.2752 0.6778 0.8041  1 V 1.86
F7 0.2743 0.9892 0.7887  2 V 2.00
F8 0.8915 0.8526 0.7306  2 Li 1.94-1.98, 1 V 1.95
F9 0.4082 0.3676 0.7628  1 Li 1.83, 1 V 1.89
F10 0.7743 0.5134 0.7122  2 V 2.02-2.13, 1 Li 2.14
F11 0.7358 0.1892 0.6739  1 Li 1.85, 1 V 1.89
F12 0.5296 0.7665 0.6381  1 Li 2.01, 2 V 2.11-2.19
F13 0.0740 0.6361 0.5917  2 V 2.03-2.06, 1 Li 2.15
F14 0.2243 0.2594 0.5447  1 V 1.87, 1 Li 1.90
F15 0.1291 0.9459 0.5507  2 V 2.03
F16 0.5510 0.0121 0.4875  1 V 1.92, 2 Li 1.93-1.98
F17 0.4531 0.5133 0.5173  1 V 1.90, 2 Li 1.91-1.98
F18 0.8632 0.4401 0.4454  2 V 2.01-2.04
F19 0.7786 0.7458 0.4378  1 Li 1.85, 1 V 1.87
F20 0.9350 0.1322 0.3976  2 V 2.01-2.10, 1 Li 2.04
F21 0.4903 0.2543 0.3557  2 V 1.99-2.15
F22 0.2692 0.6709 0.3099  1 Li 1.86, 1 V 1.90
F23 0.2163 0.9795 0.2990  2 V 1.99-2.02
F24 0.6059 0.8798 0.2343  2 Li 1.90-1.92, 1 V 1.95
F25 0.1055 0.3695 0.2674  2 Li 1.92-1.94, 1 V 1.96
F26 0.6917 0.4588 0.1969  2 V 2.02-2.05
F27 0.7672 0.1665 0.1778  2 Li 1.88-2.03, 1 V 1.95
F28 0.9723 0.7745 0.1467  1 Li 2.00, 2 V 2.06-2.15
F29 0.4412 0.6432 0.1013  2 V 2.02-2.04, 1 Li 2.17
F30 0.2940 0.2446 0.0585  2 Li 1.89-1.92, 1 V 1.94
F31 0.3500 0.9420 0.0494  2 V 2.01-2.10
F32 0.9430 0.0292 0.9862  1 Li 1.85, 1 V 1.87

Energy above the most stable polymorph in this dataset = 86.8 meV per atom
Energy relative to the elements = -3.13 eV per atom